KLiMg14, optimized geometry, DFT PBE; symmetry = P-6m2, No. 187; ρ = 1.632 g/cm³; formation energy = 98 meV per atom; energy = -1.491 eV/atom
1.0
6.619 0.000 0.000
-3.310 5.732 0.000
0.000 0.000 10.361
K Li Mg
1 1 14
direct
0.000 0.000 0.000
0.000 0.000 0.500
0.000 0.500 0.500
0.006 0.503 0.000
0.171 0.341 0.261
0.171 0.341 0.739
0.171 0.829 0.261
0.171 0.829 0.739
0.497 0.503 0.000
0.497 0.994 0.000
0.500 0.000 0.500
0.500 0.500 0.500
0.659 0.829 0.261
0.659 0.829 0.739
0.667 0.333 0.246
0.667 0.333 0.754